! PBE FeW6Cl14, relaxed; values from VASP
&SYSTEM
  ibrav = 0, nat = 84, ntyp = 3
/
ATOMIC_SPECIES
Fe 55.84 Fe.upf
W 183.84 W.upf
Cl 35.45 Cl.upf
ATOMIC_POSITIONS crystal
Fe 0.750 0.250 0.250
Fe 0.250 0.250 0.750
Fe 0.250 0.750 0.250
Fe 0.750 0.750 0.750
W 0.107 0.223 0.272
W 0.893 0.223 0.728
W 0.893 0.777 0.272
W 0.107 0.777 0.728
W 0.272 0.107 0.223
W 0.728 0.893 0.223
W 0.272 0.893 0.777
W 0.728 0.107 0.777
W 0.223 0.272 0.107
W 0.223 0.728 0.893
W 0.777 0.272 0.893
W 0.777 0.728 0.107
W 0.393 0.277 0.228
W 0.607 0.277 0.772
W 0.607 0.723 0.228
W 0.393 0.723 0.772
W 0.228 0.393 0.277
W 0.772 0.607 0.277
W 0.228 0.607 0.723
W 0.772 0.393 0.723
W 0.277 0.228 0.393
W 0.277 0.772 0.607
W 0.723 0.228 0.607
W 0.723 0.772 0.393
Cl 0.917 0.180 0.305
Cl 0.083 0.180 0.695
Cl 0.083 0.820 0.305
Cl 0.917 0.820 0.695
Cl 0.305 0.917 0.180
Cl 0.695 0.083 0.180
Cl 0.305 0.083 0.820
Cl 0.695 0.917 0.820
Cl 0.180 0.305 0.917
Cl 0.180 0.695 0.083
Cl 0.820 0.305 0.083
Cl 0.820 0.695 0.917
Cl 0.583 0.320 0.195
Cl 0.417 0.320 0.805
Cl 0.417 0.680 0.195
Cl 0.583 0.680 0.805
Cl 0.195 0.583 0.320
Cl 0.805 0.417 0.320
Cl 0.195 0.417 0.680
Cl 0.805 0.583 0.680
Cl 0.320 0.195 0.583
Cl 0.320 0.805 0.417
Cl 0.680 0.195 0.417
Cl 0.680 0.805 0.583
Cl 0.391 0.609 0.609
Cl 0.609 0.609 0.391
Cl 0.609 0.391 0.609
Cl 0.391 0.391 0.391
Cl 0.109 0.891 0.891
Cl 0.891 0.891 0.109
Cl 0.891 0.109 0.891
Cl 0.109 0.109 0.109
Cl 0.067 0.382 0.163
Cl 0.933 0.382 0.837
Cl 0.933 0.618 0.163
Cl 0.067 0.618 0.837
Cl 0.163 0.067 0.382
Cl 0.837 0.933 0.382
Cl 0.163 0.933 0.618
Cl 0.837 0.067 0.618
Cl 0.382 0.163 0.067
Cl 0.382 0.837 0.933
Cl 0.618 0.163 0.933
Cl 0.618 0.837 0.067
Cl 0.433 0.118 0.337
Cl 0.567 0.118 0.663
Cl 0.567 0.882 0.337
Cl 0.433 0.882 0.663
Cl 0.337 0.433 0.118
Cl 0.663 0.567 0.118
Cl 0.337 0.567 0.882
Cl 0.663 0.433 0.882
Cl 0.118 0.337 0.433
Cl 0.118 0.663 0.567
Cl 0.882 0.337 0.567
Cl 0.882 0.663 0.433
CELL_PARAMETERS angstrom
12.656 0.000 0.000
0.000 12.656 0.000
0.000 0.000 12.656
! - SG = Pn-3 (201)
! - size of the total moment (μB/f.u.) = 0.00


! PBE FeW2Cl10, relaxed; values from VASP
&SYSTEM
  ibrav = 0, nat = 26, ntyp = 3
/
ATOMIC_SPECIES
Fe 55.84 Fe.upf
W 183.84 W.upf
Cl 35.45 Cl.upf
ATOMIC_POSITIONS crystal
Fe 0.057 0.943 0.750
Fe 0.943 0.057 0.250
W 0.429 0.571 0.750
W 0.571 0.429 0.250
W 0.272 0.728 0.750
W 0.728 0.272 0.250
Cl 0.776 0.477 0.380
Cl 0.523 0.224 0.120
Cl 0.224 0.523 0.620
Cl 0.477 0.776 0.880
Cl 0.895 0.788 0.146
Cl 0.212 0.105 0.354
Cl 0.105 0.212 0.854
Cl 0.788 0.895 0.646
Cl 0.076 0.591 0.149
Cl 0.409 0.924 0.351
Cl 0.924 0.409 0.851
Cl 0.591 0.076 0.649
Cl 0.609 0.680 0.352
Cl 0.320 0.391 0.148
Cl 0.391 0.320 0.648
Cl 0.680 0.609 0.852
Cl 0.945 0.265 0.358
Cl 0.735 0.055 0.142
Cl 0.055 0.735 0.642
Cl 0.265 0.945 0.858
CELL_PARAMETERS angstrom
-1.799 -8.043 3.688
6.794 5.928 -0.482
-2.707 5.116 11.562
! - SG = C2/c (15)
! - size of the total moment (μB/f.u.) = 0.00


! PBE Zr6FeCl14, relaxed; values from VASP
&SYSTEM
  ibrav = 0, nat = 42, ntyp = 3
/
ATOMIC_SPECIES
Zr 91.22 Zr.upf
Fe 55.84 Fe.upf
Cl 35.45 Cl.upf
ATOMIC_POSITIONS crystal
Zr 0.048 0.808 0.381
Zr 0.848 0.848 0.611
Zr 0.152 0.152 0.389
Zr 0.348 0.348 0.889
Zr 0.452 0.692 0.881
Zr 0.652 0.652 0.111
Zr 0.192 0.952 0.619
Zr 0.308 0.548 0.119
Zr 0.548 0.308 0.119
Zr 0.952 0.192 0.619
Zr 0.808 0.048 0.381
Zr 0.692 0.452 0.881
Fe 0.000 0.000 0.500
Fe 0.500 0.500 0.000
Cl 0.361 0.118 0.508
Cl 0.101 0.601 0.250
Cl 0.248 0.752 0.500
Cl 0.252 0.748 0.000
Cl 0.752 0.248 0.500
Cl 0.748 0.252 0.000
Cl 0.844 0.844 0.244
Cl 0.656 0.656 0.744
Cl 0.344 0.344 0.256
Cl 0.156 0.156 0.756
Cl 0.601 0.101 0.250
Cl 0.899 0.399 0.750
Cl 0.964 0.207 0.255
Cl 0.536 0.293 0.755
Cl 0.382 0.139 0.008
Cl 0.793 0.036 0.745
Cl 0.036 0.793 0.745
Cl 0.464 0.707 0.245
Cl 0.293 0.536 0.755
Cl 0.207 0.964 0.255
Cl 0.139 0.382 0.008
Cl 0.707 0.464 0.245
Cl 0.882 0.639 0.492
Cl 0.618 0.861 0.992
Cl 0.861 0.618 0.992
Cl 0.639 0.882 0.492
Cl 0.118 0.361 0.508
Cl 0.399 0.899 0.750
CELL_PARAMETERS angstrom
3.954 8.891 -1.681
-8.042 3.282 4.698
5.859 -0.627 10.467
! - SG = Cmce (64)


| no. | uncorrected energy (eV per atom) | total energy after the MP2020 corrections (eV per cell) |
| --- | --- | --- |
| 1 | -6.0033 | -538.66 |
| 2 | -4.7651 | -136.17 |
| 3 | -5.7461 | -258.53 |